[1]
Density functional theory data (PBE) for a relaxed structure of YUSb2.

POSCAR file:
```
YUSb2
1.0
4.342 0.000 0.000
-2.171 3.760 0.000
0.000 0.000 22.016
Y U Sb
3 3 6
direct
0.000 0.000 0.000
0.333 0.667 0.667
0.667 0.333 0.333
0.000 0.000 0.500
0.333 0.667 0.167
0.667 0.333 0.833
0.000 0.000 0.250
0.000 0.000 0.750
0.333 0.667 0.416
0.333 0.667 0.917
0.667 0.333 0.083
0.667 0.333 0.584
```

Output
calculated density = 7.91 Mg/m³

[2]
Density functional theory data (PBE) for a relaxed structure of VSb.

POSCAR file:
```
VSb
1.0
4.140 0.000 0.000
-2.070 3.585 0.000
0.000 0.000 5.591
V Sb
2 2
direct
0.000 0.000 0.000
0.000 0.000 0.500
0.333 0.667 0.250
0.667 0.333 0.750
```

Output
calculated density = 6.91 Mg/m³
total magnetic moment = 2.90 μB per cell

[3]
Density functional theory data (PBE) for a relaxed structure of V5Sb4.

POSCAR file:
```
V5Sb4
1.0
-4.946 4.946 1.722
4.946 -4.946 1.722
4.946 4.946 -1.722
V Sb
5 4
direct
0.000 0.000 0.000
0.318 0.386 0.704
0.386 0.682 0.068
0.614 0.318 0.932
0.682 0.614 0.296
0.063 0.290 0.353
0.290 0.937 0.227
0.710 0.063 0.773
0.937 0.710 0.647
```

Output
calculated density = 7.31 Mg/m³

[4]
Density functional theory data (PBE) for a relaxed structure of Zr5V6Sb18.

POSCAR file:
```
Zr5V6Sb18
1.0
-3.284 3.284 30.085
3.284 -3.284 30.085
3.284 3.284 -30.085
Zr V Sb
10 12 36
direct
0.000 0.000 0.000
0.087 0.087 0.000
0.112 0.612 0.500
0.362 0.362 0.000
0.388 0.888 0.500
0.638 0.638 0.000
0.663 0.163 0.500
0.750 0.250 0.500
0.837 0.337 0.500
0.913 0.913 0.000
0.023 0.523 0.500
0.184 0.184 0.000
0.205 0.705 0.500
0.273 0.273 0.000
0.295 0.795 0.500
0.455 0.455 0.000
0.477 0.977 0.500
0.545 0.545 0.000
0.566 0.066 0.500
0.727 0.727 0.000
0.816 0.816 0.000
0.934 0.434 0.500
0.002 0.918 0.392
0.008 0.878 0.577
0.023 0.125 0.398
0.082 0.474 0.084
0.122 0.700 0.130
0.125 0.768 0.976
0.161 0.127 0.653
0.180 0.550 0.923
0.224 0.332 0.584
0.232 0.208 0.357
0.258 0.724 0.847
0.276 0.123 0.534
0.300 0.430 0.423
0.360 0.776 0.108
0.375 0.977 0.102
0.390 0.998 0.916
0.450 0.372 0.630
0.474 0.508 0.347
0.492 0.839 0.966
0.518 0.375 0.476
0.526 0.610 0.608
0.570 0.992 0.870
0.589 0.742 0.466
0.625 0.101 0.143
0.628 0.258 0.077
0.668 0.252 0.892
0.727 0.625 0.602
0.742 0.820 0.370
0.748 0.640 0.416
0.792 0.149 0.024
0.851 0.875 0.643
0.873 0.526 0.034
0.875 0.273 0.898
0.877 0.411 0.153
0.899 0.042 0.524
0.958 0.482 0.857
```

Output
calculated density = 7.56 Mg/m³
total magnetic moment = 17.97 μB per cell

[5]
Density functional theory data (PBE) for a relaxed structure of Y5Sb3.

POSCAR file:
```
Y5Sb3
1.0
11.965 0.000 0.000
0.000 9.322 0.000
0.000 0.000 8.148
Y Sb
20 12
direct
0.005 0.250 0.028
0.067 0.057 0.691
0.067 0.443 0.691
0.208 0.750 0.342
0.228 0.250 0.329
0.272 0.750 0.829
0.292 0.250 0.842
0.433 0.557 0.191
0.433 0.943 0.191
0.495 0.750 0.528
0.505 0.250 0.472
0.567 0.057 0.809
0.567 0.443 0.809
0.708 0.750 0.158
0.728 0.250 0.171
0.772 0.750 0.671
0.792 0.250 0.658
0.933 0.557 0.309
0.933 0.943 0.309
0.995 0.750 0.972
0.024 0.750 0.594
0.174 0.509 0.064
0.174 0.991 0.064
0.326 0.009 0.564
0.326 0.491 0.564
0.476 0.250 0.094
0.524 0.750 0.906
0.674 0.509 0.436
0.674 0.991 0.436
0.826 0.009 0.936
0.826 0.491 0.936
0.976 0.250 0.406
```

Output
calculated density = 5.92 Mg/m³
energy above the lowest structure with this stoichiometry = 14.8 meV/atom

[6]
Density functional theory data (PBE) for a relaxed structure of YSb2.

POSCAR file:
```
YSb2
1.0
3.603 0.000 0.000
0.000 6.370 0.000
0.000 0.000 7.516
Y Sb
2 4
direct
0.000 0.000 0.000
0.500 0.500 0.000
0.250 0.250 0.326
0.250 0.750 0.674
0.750 0.250 0.674
0.750 0.750 0.326
```

Output
calculated density = 6.40 Mg/m³
total magnetic moment = 0.01 μB per cell

[7]
Density functional theory data (PBE) for a relaxed structure of YSb.

POSCAR file:
```
YSb
1.0
3.805 0.000 0.000
0.000 3.805 0.000
0.000 0.000 3.805
Y Sb
1 1
direct
0.000 0.000 0.000
0.500 0.500 0.500
```

Output
calculated density = 6.35 Mg/m³
total magnetic moment = 0.00 μB per cell

[8]
Density functional theory data (PBE) for a relaxed structure of YSb.

POSCAR file:
```
YSb
1.0
6.215 0.000 0.000
0.000 6.215 0.000
0.000 0.000 6.215
Y Sb
4 4
direct
0.000 0.000 0.000
0.000 0.500 0.500
0.500 0.000 0.500
0.500 0.500 0.000
0.000 0.000 0.500
0.000 0.500 0.000
0.500 0.000 0.000
0.500 0.500 0.500
```

Output
calculated density = 5.83 Mg/m³

[9]
Density functional theory data (PBE) for a relaxed structure of Y5Sb3.

POSCAR file:
```
Y5Sb3
1.0
9.022 0.000 0.000
-4.511 7.813 0.000
0.000 0.000 6.294
Y Sb
10 6
direct
0.000 0.247 0.250
0.000 0.753 0.750
0.247 0.000 0.250
0.247 0.247 0.750
0.333 0.667 0.000
0.333 0.667 0.500
0.667 0.333 0.000
0.667 0.333 0.500
0.753 0.000 0.750
0.753 0.753 0.250
0.000 0.388 0.750
0.000 0.612 0.250
0.388 0.000 0.750
0.388 0.388 0.250
0.612 0.000 0.250
0.612 0.612 0.750
```

Output
calculated density = 6.06 Mg/m³
energy above the lowest structure with this stoichiometry = 0.0 meV/atom

[10]
Density functional theory data (PBE) for a relaxed structure of Y3Sb.

POSCAR file:
```
Y3Sb
1.0
6.869 0.000 0.000
-3.435 5.949 0.000
0.000 0.000 5.527
Y Sb
6 2
direct
0.170 0.340 0.250
0.170 0.830 0.250
0.340 0.170 0.750
0.660 0.830 0.250
0.830 0.170 0.750
0.830 0.660 0.750
0.333 0.667 0.750
0.667 0.333 0.250
```

Output
calculated density = 5.71 Mg/m³
energy above the lowest structure with this stoichiometry = 164.7 meV/atom
total magnetic moment = 2.22 μB per cell

[11]
Density functional theory data (PBE) for a relaxed structure of Y3Sb.

POSCAR file:
```
Y3Sb
1.0
12.465 0.000 0.000
0.000 12.465 0.000
0.000 0.000 6.208
Y Sb
24 8
direct
0.035 0.925 0.235
0.075 0.535 0.735
0.107 0.281 0.034
0.141 0.834 0.716
0.166 0.641 0.216
0.219 0.107 0.466
0.281 0.393 0.466
0.334 0.859 0.216
0.359 0.666 0.716
0.393 0.219 0.034
0.425 0.965 0.735
0.465 0.575 0.235
0.535 0.425 0.765
0.575 0.035 0.265
0.607 0.781 0.966
0.641 0.334 0.284
0.666 0.141 0.784
0.719 0.607 0.534
0.781 0.893 0.534
0.834 0.359 0.784
0.859 0.166 0.284
0.893 0.719 0.966
0.925 0.465 0.265
0.965 0.075 0.765
0.049 0.292 0.540
0.208 0.049 0.960
0.292 0.451 0.960
0.451 0.208 0.540
0.549 0.792 0.460
0.708 0.549 0.040
0.792 0.951 0.040
0.951 0.708 0.460
```

Output
calculated density = 5.35 Mg/m³
energy above the lowest structure with this stoichiometry = 0.0 meV/atom

[12]
Density functional theory data (PBE) for a relaxed structure of ZnSb.

POSCAR file:
```
ZnSb
1.0
6.284 0.000 0.000
0.000 7.823 0.000
0.000 0.000 8.232
Zn Sb
8 8
direct
0.040 0.106 0.127
0.040 0.394 0.627
0.460 0.606 0.127
0.460 0.894 0.627
0.540 0.106 0.373
0.540 0.394 0.873
0.960 0.606 0.373
0.960 0.894 0.873
0.142 0.583 0.891
0.142 0.917 0.391
0.358 0.083 0.891
0.358 0.417 0.391
0.642 0.583 0.609
0.642 0.917 0.109
0.858 0.083 0.609
0.858 0.417 0.109
```

Output
calculated density = 6.14 Mg/m³

no.,total energy (eV per atom),formation enthalpy at 0 K (meV per atom)
1,-7.19,-780.1
2,-6.61,-100.5
3,-7.01,-218.3
4,-6.17,-371.2
5,-6.53,-1015.7
6,-5.12,-341.2
7,-6.11,-904.0
8,-6.46,-1255.2
9,-6.55,-1030.5
10,-6.34,-501.3
11,-6.50,-666.0
12,-2.72,-124.0